1.
An optimized crystal structure of Sm2SnS5. Source: the Materials Project, functional meta-GGA r2SCAN.

final energy	-275.52	eV per cell
magnetization	0.00	Bohr magnetons per cell
DFT formation energy	-1.67	eV/atom
calculated density	5.6	g cm⁻³

```
data_Sm2SnS5
_symmetry_space_group_name_H-M 'P b a m'
_symmetry_Int_Tables_number 55
_symmetry_space_group_name_Hall '-P 2 2ab'
_cell_length_a 7.8376
_cell_length_b 11.4215
_cell_length_c 3.8668
_cell_angle_alpha 90.00
_cell_angle_beta 90.00
_cell_angle_gamma 90.00
loop_
_atom_site_label
_atom_site_type_symbol
_atom_site_fract_x
_atom_site_fract_y
_atom_site_fract_z
_atom_site_occupancy
Sm1 Sm 0.0349 0.1730 0.0000 1
Sn1 Sn 0.0000 0.5000 0.5000 1
S1 S 0.0000 0.0000 0.5000 1
S2 S 0.1705 0.4086 0.0000 1
S3 S 0.1712 0.6940 0.5000 1
```



2.
An optimized crystal structure of Sm3TmS4. Source: the Materials Project, functional meta-GGA r2SCAN.

final energy	-174.50	eV per cell
magnetization	0.00	Bohr magnetons per cell
DFT formation energy	-2.26	eV/atom
calculated density	7.1	g cm⁻³

```
data_Sm3TmS4
_symmetry_space_group_name_H-M 'P m m m'
_symmetry_Int_Tables_number 47
_symmetry_space_group_name_Hall '-P 2 2'
_cell_length_a 3.9458
_cell_length_b 5.6147
_cell_length_c 7.9447
_cell_angle_alpha 90.00
_cell_angle_beta 90.00
_cell_angle_gamma 90.00
loop_
_atom_site_label
_atom_site_type_symbol
_atom_site_fract_x
_atom_site_fract_y
_atom_site_fract_z
_atom_site_occupancy
Sm1 Sm 0.0000 0.0000 0.0000 1
Sm2 Sm 0.5000 0.5000 0.2447 1
Tm1 Tm 0.0000 0.0000 0.5000 1
S1 S 0.0000 0.5000 0.0000 1
S2 S 0.0000 0.5000 0.5000 1
S3 S 0.5000 0.0000 0.2640 1
```



3.
An optimized crystal structure of Sm3YS4. Source: the Materials Project, functional meta-GGA r2SCAN.

final energy	-319.79	eV per cell
magnetization	0.00	Bohr magnetons per cell
DFT formation energy	-2.28	eV/atom
calculated density	6.2	g cm⁻³

```
data_Sm3YS4
_symmetry_space_group_name_H-M 'C 1 2/m 1'
_symmetry_Int_Tables_number 12
_symmetry_space_group_name_Hall '-C 2y'
_cell_length_a 13.1697
_cell_length_b 3.9826
_cell_length_c 6.9049
_cell_angle_alpha 90.00
_cell_angle_beta 100.12
_cell_angle_gamma 90.00
loop_
_atom_site_label
_atom_site_type_symbol
_atom_site_fract_x
_atom_site_fract_y
_atom_site_fract_z
_atom_site_occupancy
Sm1 Sm 0.0000 0.0000 0.0000 1
Sm2 Sm 0.2478 0.5000 0.2467 1
Y1 Y 0.0000 0.5000 0.5000 1
S1 S 0.1218 0.0000 0.3804 1
S2 S 0.1234 0.5000 0.8680 1
```



4.
An optimized crystal structure of YbSm3S4. Source: the Materials Project, functional meta-GGA r2SCAN.

final energy	-527.84	eV per cell
magnetization	0.00	Bohr magnetons per cell
DFT formation energy	-2.26	eV/atom
calculated density	7.1	g cm⁻³

```
data_YbSm3S4
_symmetry_space_group_name_H-M 'R -3 m'
_symmetry_Int_Tables_number 166
_symmetry_space_group_name_Hall '-R 3 2"'
_cell_length_a 3.9365
_cell_length_b 3.9365
_cell_length_c 39.1177
_cell_angle_alpha 90.00
_cell_angle_beta 90.00
_cell_angle_gamma 120.00
loop_
_atom_site_label
_atom_site_type_symbol
_atom_site_fract_x
_atom_site_fract_y
_atom_site_fract_z
_atom_site_occupancy
Yb1 Yb 0.0000 0.0000 0.0000 1
Sm1 Sm 0.0000 0.0000 0.2514 1
Sm2 Sm 0.0000 0.0000 0.5000 1
S1 S 0.0000 0.0000 0.1242 1
S2 S 0.0000 0.0000 0.3711 1
```



5.
An optimized crystal structure of Yb4SmS5. Source: the Materials Project, functional meta-GGA r2SCAN.

final energy	-713.68	eV per cell
magnetization	0.00	Bohr magnetons per cell
DFT formation energy	-2.19	eV/atom
energy relative to the lowest polymorph listed for this composition	0	meV/atom
calculated density	8.3	g cm⁻³

```
data_Yb4SmS5
_symmetry_space_group_name_H-M 'R -3 m'
_symmetry_Int_Tables_number 166
_symmetry_space_group_name_Hall '-R 3 2"'
_cell_length_a 3.8290
_cell_length_b 3.8290
_cell_length_c 47.5403
_cell_angle_alpha 90.00
_cell_angle_beta 90.00
_cell_angle_gamma 120.00
loop_
_atom_site_label
_atom_site_type_symbol
_atom_site_fract_x
_atom_site_fract_y
_atom_site_fract_z
_atom_site_occupancy
Yb1 Yb 0.0000 0.0000 0.0982 1
Yb2 Yb 0.0000 0.0000 0.3010 1
Sm1 Sm 0.0000 0.0000 0.5000 1
S1 S 0.0000 0.0000 0.0000 1
S2 S 0.0000 0.0000 0.2037 1
S3 S 0.0000 0.0000 0.3985 1
```



6.
An optimized crystal structure of Yb4SmS5. Source: the Materials Project, functional meta-GGA r2SCAN.

final energy	-475.54	eV per cell
magnetization	0.00	Bohr magnetons per cell
DFT formation energy	-2.18	eV/atom
energy relative to the lowest polymorph listed for this composition	12	meV/atom
calculated density	8.3	g cm⁻³

```
data_Yb4SmS5
_symmetry_space_group_name_H-M 'I m m m'
_symmetry_Int_Tables_number 71
_symmetry_space_group_name_Hall '-I 2 2'
_cell_length_a 3.8361
_cell_length_b 5.4485
_cell_length_c 19.2723
_cell_angle_alpha 90.00
_cell_angle_beta 90.00
_cell_angle_gamma 90.00
loop_
_atom_site_label
_atom_site_type_symbol
_atom_site_fract_x
_atom_site_fract_y
_atom_site_fract_z
_atom_site_occupancy
Yb1 Yb 0.0000 0.0000 0.0987 1
Yb2 Yb 0.0000 0.0000 0.2977 1
Sm1 Sm 0.0000 0.0000 0.5000 1
S1 S 0.0000 0.5000 0.1066 1
S2 S 0.0000 0.5000 0.3013 1
S3 S 0.0000 0.5000 0.5000 1
```



7.
An optimized crystal structure of Sn2S3. Source: the Materials Project, functional meta-GGA r2SCAN.

final energy	-303.86	eV per cell
magnetization	0.00	Bohr magnetons per cell
DFT formation energy	-0.47	eV/atom
calculated density	4.5	g cm⁻³

```
data_Sn2S3
_symmetry_space_group_name_H-M 'P n m a'
_symmetry_Int_Tables_number 62
_symmetry_space_group_name_Hall '-P 2ac 2n'
_cell_length_a 9.1178
_cell_length_b 3.7635
_cell_length_c 14.4737
_cell_angle_alpha 90.00
_cell_angle_beta 90.00
_cell_angle_gamma 90.00
loop_
_atom_site_label
_atom_site_type_symbol
_atom_site_fract_x
_atom_site_fract_y
_atom_site_fract_z
_atom_site_occupancy
Sn1 Sn 0.0300 0.2500 0.1645 1
Sn2 Sn 0.1592 0.2500 0.5510 1
S1 S 0.0208 0.2500 0.3960 1
S2 S 0.1672 0.2500 0.9983 1
S3 S 0.2197 0.7500 0.2075 1
```



8.
An optimized crystal structure of Sr3Sn2S7. Source: the Materials Project, functional meta-GGA r2SCAN.

final energy	-337.24	eV per cell
magnetization	0.00	Bohr magnetons per cell
DFT formation energy	-1.45	eV/atom
calculated density	4.0	g cm⁻³

```
data_Sr3Sn2S7
_symmetry_space_group_name_H-M 'P b a m'
_symmetry_Int_Tables_number 55
_symmetry_space_group_name_Hall '-P 2 2ab'
_cell_length_a 11.5323
_cell_length_b 12.8592
_cell_length_c 4.0103
_cell_angle_alpha 90.00
_cell_angle_beta 90.00
_cell_angle_gamma 90.00
loop_
_atom_site_label
_atom_site_type_symbol
_atom_site_fract_x
_atom_site_fract_y
_atom_site_fract_z
_atom_site_occupancy
Sr1 Sr 0.0000 0.0000 0.0000 1
Sr2 Sr 0.1152 0.3490 0.0000 1
Sn1 Sn 0.2172 0.6040 0.5000 1
S1 S 0.0000 0.5000 0.5000 1
S2 S 0.0840 0.1758 0.5000 1
S3 S 0.1486 0.7006 0.0000 1
S4 S 0.2039 0.9314 0.5000 1
```



9.
An optimized crystal structure of Ta3SnS6. Source: the Materials Project, functional meta-GGA r2SCAN.

final energy	-459.66	eV per cell
magnetization	0.00	Bohr magnetons per cell
DFT formation energy	-1.11	eV/atom
calculated density	6.7	g cm⁻³

```
data_Ta3SnS6
_symmetry_space_group_name_H-M 'P 63/m c m'
_symmetry_Int_Tables_number 193
_symmetry_space_group_name_Hall '-P 6c 2'
_cell_length_a 5.7959
_cell_length_b 5.7959
_cell_length_c 14.5606
_cell_angle_alpha 90.00
_cell_angle_beta 90.00
_cell_angle_gamma 120.00
loop_
_atom_site_label
_atom_site_type_symbol
_atom_site_fract_x
_atom_site_fract_y
_atom_site_fract_z
_atom_site_occupancy
Ta1 Ta 0.0000 0.0000 0.2500 1
Ta2 Ta 0.3333 0.6667 0.2500 1
Sn1 Sn 0.0000 0.0000 0.0000 1
S1 S 0.0000 0.3356 0.1434 1
```



10.
An optimized crystal structure of Tb2SnS5. Source: the Materials Project, functional meta-GGA r2SCAN.

final energy	-281.35	eV per cell
magnetization	0.00	Bohr magnetons per cell
DFT formation energy	-1.66	eV/atom
calculated density	5.9	g cm⁻³

```
data_Tb2SnS5
_symmetry_space_group_name_H-M 'P b a m'
_symmetry_Int_Tables_number 55
_symmetry_space_group_name_Hall '-P 2 2ab'
_cell_length_a 7.7594
_cell_length_b 11.3278
_cell_length_c 3.8100
_cell_angle_alpha 90.00
_cell_angle_beta 90.00
_cell_angle_gamma 90.00
loop_
_atom_site_label
_atom_site_type_symbol
_atom_site_fract_x
_atom_site_fract_y
_atom_site_fract_z
_atom_site_occupancy
Tb1 Tb 0.0279 0.1731 0.0000 1
Sn1 Sn 0.0000 0.5000 0.5000 1
S1 S 0.0000 0.0000 0.5000 1
S2 S 0.1690 0.4039 0.0000 1
S3 S 0.1760 0.6943 0.5000 1
```



11.
An optimized crystal structure of Zr5Sn3S. Source: the Materials Project, functional meta-GGA r2SCAN.

final energy	-409.78	eV per cell
magnetization	0.00	Bohr magnetons per cell
DFT formation energy	-0.99	eV/atom
calculated density	7.4	g cm⁻³

```
data_Zr5Sn3S
_symmetry_space_group_name_H-M 'P 63/m c m'
_symmetry_Int_Tables_number 193
_symmetry_space_group_name_Hall '-P 6c 2'
_cell_length_a 8.5576
_cell_length_b 8.5576
_cell_length_c 5.9885
_cell_angle_alpha 90.00
_cell_angle_beta 90.00
_cell_angle_gamma 120.00
loop_
_atom_site_label
_atom_site_type_symbol
_atom_site_fract_x
_atom_site_fract_y
_atom_site_fract_z
_atom_site_occupancy
Zr1 Zr 0.0000 0.2522 0.2500 1
Zr2 Zr 0.3333 0.6667 0.0000 1
Sn1 Sn 0.0000 0.3995 0.7500 1
S1 S 0.0000 0.0000 0.0000 1
```



12.
An optimized crystal structure of SrS. Source: the Materials Project, functional meta-GGA r2SCAN.

final energy	-112.12	eV per cell
magnetization	0.00	Bohr magnetons per cell
DFT formation energy	-2.42	eV/atom
calculated density	3.6	g cm⁻³

```
data_SrS
_symmetry_space_group_name_H-M 'F m -3 m'
_symmetry_Int_Tables_number 225
_symmetry_space_group_name_Hall '-F 4 2 3'
_cell_length_a 6.0480
_cell_length_b 6.0480
_cell_length_c 6.0480
_cell_angle_alpha 90.00
_cell_angle_beta 90.00
_cell_angle_gamma 90.00
loop_
_atom_site_label
_atom_site_type_symbol
_atom_site_fract_x
_atom_site_fract_y
_atom_site_fract_z
_atom_site_occupancy
Sr1 Sr 0.0000 0.0000 0.0000 1
S1 S 0.0000 0.0000 0.5000 1
```



13.
An optimized crystal structure of SrS3. Source: the Materials Project, functional meta-GGA r2SCAN.

final energy	-175.87	eV per cell
magnetization	0.00	Bohr magnetons per cell
DFT formation energy	-1.18	eV/atom
calculated density	3.0	g cm⁻³

```
data_SrS3
_symmetry_space_group_name_H-M 'A e a 2'
_symmetry_Int_Tables_number 41
_symmetry_space_group_name_Hall 'A 2 -2ab'
_cell_length_a 6.9225
_cell_length_b 8.1160
_cell_length_c 7.1906
_cell_angle_alpha 90.00
_cell_angle_beta 90.00
_cell_angle_gamma 90.00
loop_
_atom_site_label
_atom_site_type_symbol
_atom_site_fract_x
_atom_site_fract_y
_atom_site_fract_z
_atom_site_occupancy
Sr1 Sr 0.0000 0.0000 0.0000 1
S1 S 0.0000 0.0000 0.5330 1
S2 S 0.1400 0.1653 0.3595 1
```



14.
An optimized crystal structure of Sr17Ta10S42. Source: the Materials Project, functional meta-GGA r2SCAN.

final energy	-1203.59	eV per cell
magnetization	0.00	Bohr magnetons per cell
DFT formation energy	-1.78	eV/atom
calculated density	4.2	g cm⁻³

```
data_Sr17Ta10S42
_symmetry_space_group_name_H-M 'P 1'
_symmetry_Int_Tables_number 1
_symmetry_space_group_name_Hall 'P 1'
_cell_length_a 12.2619
_cell_length_b 12.3109
_cell_length_c 12.3121
_cell_angle_alpha 96.21
_cell_angle_beta 96.38
_cell_angle_gamma 96.26
loop_
_atom_site_label
_atom_site_type_symbol
_atom_site_fract_x
_atom_site_fract_y
_atom_site_fract_z
_atom_site_occupancy
Sr1 Sr 0.0000 0.0000 0.0000 1
Sr2 Sr 0.0026 0.1459 0.3901 1
Sr3 Sr 0.0317 0.6674 0.8000 1
Sr4 Sr 0.2220 0.6323 0.1420 1
Sr5 Sr 0.2391 0.7801 0.5213 1
Sr6 Sr 0.3198 0.4606 0.7030 1
Sr7 Sr 0.3224 0.3348 0.3333 1
Sr8 Sr 0.3707 0.0160 0.1503 1
Sr9 Sr 0.5338 0.4469 0.0527 1
Sr10 Sr 0.5388 0.0961 0.8332 1
Sr11 Sr 0.5610 0.9653 0.4661 1
Sr12 Sr 0.6547 0.8055 0.0382 1
Sr13 Sr 0.6692 0.6818 0.6821 1
Sr14 Sr 0.6842 0.3252 0.4697 1
Sr15 Sr 0.8570 0.7718 0.3689 1
Sr16 Sr 0.8924 0.4267 0.1742 1
Sr17 Sr 0.9055 0.3036 0.8159 1
Ta1 Ta 0.1213 0.8952 0.2659 1
Ta2 Ta 0.1744 0.2741 0.9817 1
Ta3 Ta 0.2999 0.0837 0.4656 1
Ta4 Ta 0.3354 0.7710 0.8227 1
Ta5 Ta 0.4978 0.6119 0.3215 1
Ta6 Ta 0.6204 0.3955 0.7683 1
Ta7 Ta 0.6751 0.1107 0.1433 1
Ta8 Ta 0.8099 0.5848 0.9558 1
Ta9 Ta 0.8368 0.9500 0.6468 1
Ta10 Ta 0.9959 0.4503 0.4809 1
S1 S 0.0044 0.2483 0.0422 1
S2 S 0.0758 0.7150 0.3090 1
S3 S 0.0783 0.3835 0.3349 1
S4 S 0.1207 0.9686 0.4715 1
S5 S 0.1218 0.5683 0.5998 1
S6 S 0.1484 0.3391 0.8173 1
S7 S 0.1628 0.8516 0.0852 1
S8 S 0.1909 0.8531 0.7584 1
S9 S 0.1937 0.1033 0.2680 1
S10 S 0.2350 0.1080 0.9614 1
S11 S 0.2465 0.2466 0.5370 1
S12 S 0.2667 0.6212 0.8986 1
S13 S 0.2925 0.4000 0.1041 1
S14 S 0.3285 0.8923 0.3399 1
S15 S 0.3292 0.5860 0.3800 1
S16 S 0.3906 0.0156 0.6132 1
S17 S 0.4161 0.7043 0.6757 1
S18 S 0.4550 0.8970 0.9423 1
S19 S 0.4598 0.3209 0.8302 1
S20 S 0.4642 0.1616 0.3894 1
S21 S 0.4741 0.6720 0.1533 1
S22 S 0.5289 0.1938 0.0796 1
S23 S 0.5421 0.4556 0.6068 1
S24 S 0.5560 0.4424 0.2987 1
S25 S 0.6026 0.5877 0.8824 1
S26 S 0.6108 0.9629 0.2246 1
S27 S 0.6228 0.7318 0.4395 1
S28 S 0.6645 0.9277 0.7018 1
S29 S 0.6766 0.2329 0.6902 1
S30 S 0.7357 0.3791 0.9582 1
S31 S 0.7489 0.0435 0.9927 1
S32 S 0.7661 0.6222 0.1377 1
S33 S 0.7931 0.2296 0.2699 1
S34 S 0.8114 0.5095 0.7511 1
S35 S 0.8116 0.0084 0.4769 1
S36 S 0.8457 0.5250 0.4112 1
S37 S 0.8479 0.7663 0.9131 1
S38 S 0.8951 0.7797 0.6209 1
S39 S 0.9285 0.3058 0.5631 1
S40 S 0.9397 0.9370 0.2218 1
S41 S 0.9560 0.0659 0.7686 1
S42 S 0.9920 0.5459 0.9975 1
```



15.
An optimized crystal structure of SrTb2S4. Source: the Materials Project, functional meta-GGA r2SCAN.

final energy	-507.17	eV per cell
magnetization	0.00	Bohr magnetons per cell
DFT formation energy	-2.44	eV/atom
calculated density	5.1	g cm⁻³

```
data_SrTb2S4
_symmetry_space_group_name_H-M 'P n m a'
_symmetry_Int_Tables_number 62
_symmetry_space_group_name_Hall '-P 2ac 2n'
_cell_length_a 12.0416
_cell_length_b 4.0051
_cell_length_c 14.3845
_cell_angle_alpha 90.00
_cell_angle_beta 90.00
_cell_angle_gamma 90.00
loop_
_atom_site_label
_atom_site_type_symbol
_atom_site_fract_x
_atom_site_fract_y
_atom_site_fract_z
_atom_site_occupancy
Sr1 Sr 0.2424 0.2500 0.1613 1
Tb1 Tb 0.0680 0.2500 0.3897 1
Tb2 Tb 0.0814 0.2500 0.8989 1
S1 S 0.0231 0.7500 0.7841 1
S2 S 0.0859 0.2500 0.5785 1
S3 S 0.1300 0.7500 0.0273 1
S4 S 0.2070 0.7500 0.3246 1
```



16.
An optimized crystal structure of SrU2S5. Source: the Materials Project, functional meta-GGA r2SCAN.

final energy	-925.07	eV per cell
magnetization	16.00	Bohr magnetons per cell
DFT formation energy	-2.01	eV/atom
calculated density	6.5	g cm⁻³

```
data_SrU2S5
_symmetry_space_group_name_H-M 'P 1 21/c 1'
_symmetry_Int_Tables_number 14
_symmetry_space_group_name_Hall '-P 2ybc'
_cell_length_a 8.2913
_cell_length_b 7.5060
_cell_length_c 11.7983
_cell_angle_alpha 90.00
_cell_angle_beta 90.40
_cell_angle_gamma 90.00
loop_
_atom_site_label
_atom_site_type_symbol
_atom_site_fract_x
_atom_site_fract_y
_atom_site_fract_z
_atom_site_occupancy
Sr1 Sr 0.0074 0.0456 0.3285 1
U1 U 0.2504 0.5676 0.4925 1
U2 U 0.4979 0.5179 0.1782 1
S1 S 0.0377 0.1762 0.0794 1
S2 S 0.2668 0.6912 0.7156 1
S3 S 0.2748 0.1631 0.8114 1
S4 S 0.2846 0.5448 0.9984 1
S5 S 0.4593 0.1584 0.1004 1
```